# 1
# SbPbO3

An optimized crystal structure of SbPbO3 (PBE, the Materials Project database).

Cell lengths 4.2166, 4.2166, 4.2166 Å; angles 90.00, 90.00, 90.00 degrees
With the nearest neighbours (Å) after each atom.
Sites, in units of the cell vectors:
Sb 0.0000 0.0000 0.0000  6 O 2.11
Pb 0.5000 0.5000 0.5000  12 O 2.98
O 0.0000 0.0000 0.5000  2 Sb 2.11
O 0.0000 0.5000 0.0000  2 Sb 2.11
O 0.5000 0.0000 0.0000  2 Sb 2.11

V = 75.0 Å³ per cell
calculated formation energy = -754 kJ/mol of formula units
total moment = 0.000 μB per formula unit

---

# 2
# Na3Zn3InS6O24

An optimized crystal structure of Na3Zn3InS6O24 (PBE, the Materials Project database).

Cell lengths 8.8033, 8.8132, 22.7297 Å; angles 89.93, 89.97, 60.05 degrees
With the nearest neighbours (Å) after each atom.
Sites, in units of the cell vectors:
Na 0.0000 0.0000 0.0000  6 O 2.48-2.65
Na 0.9999 0.0368 0.4913  3 O 2.33-2.45
Na 0.0315 0.3228 0.9210  5 O 2.38-2.54
Na 0.3335 0.7161 0.5813  6 O 2.41-2.67
Na 0.3341 0.3516 0.3309  6 O 2.51-2.64
Na 0.3515 0.3529 0.8323  6 O 2.50-2.67
Na 0.6676 0.6854 0.1617  6 O 2.46-2.65
Na 0.6865 0.6649 0.6670  6 O 2.43-2.69
Na 0.6983 0.9874 0.5808  6 O 2.41-2.68
Zn 0.0010 0.0104 0.8468  6 O 2.04-2.21
Zn 0.0009 0.0263 0.6557  5 O 1.99-2.19
Zn 0.0018 0.0177 0.3477  6 O 2.06-2.18
Zn 0.3302 0.3519 0.6835  6 O 2.08-2.15
Zn 0.3309 0.3511 0.4824  6 O 2.08-2.12
Zn 0.3356 0.3515 0.1808  6 O 2.06-2.18
Zn 0.3429 0.3519 0.9893  6 O 2.00-2.24
Zn 0.6636 0.6895 0.0180  6 O 2.08-2.14
Zn 0.6756 0.6770 0.5077  3 O 1.99-2.06
In 0.0017 0.0189 0.1492  6 O 2.13-2.19
In 0.6631 0.6894 0.8168  6 O 2.12-2.20
In 0.6685 0.6846 0.3172  6 O 2.13-2.17
S 0.0044 0.3160 0.7516  4 O 1.48-1.51
S 0.0055 0.7170 0.2506  4 O 1.47-1.51
S 0.0366 0.3543 0.0808  4 O 1.47-1.51
S 0.0379 0.6462 0.5836  4 O 1.47-1.51
S 0.2985 0.7185 0.7472  4 O 1.47-1.51
S 0.2992 0.0220 0.2506  4 O 1.47-1.51
S 0.3329 0.0566 0.5832  4 O 1.47-1.51
S 0.3375 0.6469 0.0828  4 O 1.47-1.51
S 0.3639 0.6855 0.4194  4 O 1.48-1.50
S 0.3673 0.9863 0.9174  4 O 1.46-1.50
S 0.6304 0.0529 0.0830  4 O 1.47-1.51
S 0.6308 0.3516 0.5834  4 O 1.48-1.50
S 0.6669 0.3853 0.9169  4 O 1.48-1.51
S 0.6688 0.9887 0.4193  4 O 1.48-1.50
S 0.7004 0.3155 0.2506  4 O 1.47-1.51
S 0.7018 0.0210 0.7472  4 O 1.47-1.51
S 0.9682 0.6851 0.9176  4 O 1.47-1.51
S 0.9724 0.3801 0.4168  4 O 1.48-1.49
O 0.0167 0.2207 0.8069  1 S 1.48
O 0.0188 0.1926 0.0841  1 S 1.51
O 0.0195 0.8259 0.5879  1 S 1.51
O 0.0212 0.8046 0.3035  1 S 1.47
O 0.1163 0.5448 0.6377  1 S 1.47
O 0.1281 0.3673 0.1328  1 S 1.47
O 0.1327 0.3352 0.0247  1 S 1.49
O 0.1441 0.5247 0.9229  1 S 1.49
O 0.1487 0.3622 0.4213  1 S 1.48
O 0.1487 0.5647 0.5312  1 S 1.48
O 0.1626 0.3342 0.7473  1 S 1.48
O 0.1630 0.5416 0.2456  1 S 1.48
O 0.1770 0.8274 0.0855  1 S 1.51
O 0.1778 0.0305 0.5889  1 S 1.50
O 0.1885 0.0060 0.9122  1 S 1.50
O 0.1903 0.8457 0.4131  1 S 1.48
O 0.1949 0.8104 0.7995  1 S 1.47
O 0.1961 0.0371 0.3034  1 S 1.47
O 0.2208 0.8144 0.6911  1 S 1.49
O 0.2223 0.9950 0.1959  1 S 1.49
O 0.3110 0.1585 0.5294  1 S 1.47
O 0.3146 0.5683 0.0285  1 S 1.48
O 0.3164 0.1799 0.2454  1 S 1.48
O 0.3187 0.5411 0.7454  1 S 1.48
O 0.3429 0.1662 0.9224  1 S 1.49
O 0.3460 0.5274 0.4228  1 S 1.48
O 0.3521 0.5473 0.1365  1 S 1.47
O 0.3619 0.1370 0.6361  1 S 1.48
O 0.4443 0.7070 0.4748  1 S 1.50
O 0.4561 0.8756 0.9684  1 S 1.46
O 0.4673 0.9134 0.8613  1 S 1.50
O 0.4765 0.6613 0.3674  1 S 1.49
O 0.4777 0.7013 0.7504  1 S 1.51
O 0.4789 0.8619 0.2540  1 S 1.51
O 0.4941 0.8766 0.5786  1 S 1.51
O 0.4957 0.6664 0.0789  1 S 1.49
O 0.5109 0.1651 0.4223  1 S 1.48
O 0.5130 0.3621 0.9234  1 S 1.48
O 0.5198 0.3832 0.6363  1 S 1.49
O 0.5247 0.1784 0.7448  1 S 1.48
O 0.5252 0.3326 0.2456  1 S 1.48
O 0.5311 0.1386 0.1366  1 S 1.47
O 0.5504 0.3203 0.5308  1 S 1.48
O 0.5510 0.1529 0.0285  1 S 1.48
O 0.6379 0.4877 0.8609  1 S 1.51
O 0.6451 0.9000 0.3674  1 S 1.49
O 0.6472 0.5119 0.5765  1 S 1.50
O 0.6510 0.8749 0.0796  1 S 1.49
O 0.6805 0.4952 0.2538  1 S 1.51
O 0.6849 0.8592 0.7510  1 S 1.51
O 0.6886 0.8879 0.4748  1 S 1.50
O 0.6970 0.4742 0.9668  1 S 1.48
O 0.7884 0.2121 0.3034  1 S 1.47
O 0.7926 0.0352 0.7995  1 S 1.47
O 0.7992 0.0002 0.6913  1 S 1.49
O 0.8045 0.2386 0.1959  1 S 1.49
O 0.8074 0.1911 0.5899  1 S 1.50
O 0.8110 0.0335 0.0855  1 S 1.51
O 0.8295 0.0017 0.4132  1 S 1.48
O 0.8318 0.2115 0.9110  1 S 1.50
O 0.8435 0.4961 0.7532  1 S 1.51
O 0.8450 0.6980 0.2540  1 S 1.51
O 0.8566 0.6726 0.5774  1 S 1.50
O 0.8574 0.7083 0.9690  1 S 1.47
O 0.8586 0.5115 0.0783  1 S 1.49
O 0.8663 0.4616 0.4704  1 S 1.48
O 0.8898 0.4880 0.3633  1 S 1.49
O 0.8924 0.6499 0.8629  1 S 1.51
O 0.9788 0.8209 0.1960  1 S 1.49
O 0.9827 0.2320 0.6986  1 S 1.48
O 0.9851 0.8432 0.9104  1 S 1.48
O 0.9878 0.2055 0.4107  1 S 1.48

V = 1528.0 Å³ per cell
calculated formation energy = -7032 kJ/mol of formula units
total moment = 0.001 μB per formula unit

---

# 3
# LaSnPS2O12

An optimized crystal structure of LaSnPS2O12 (PBE, the Materials Project database).

Cell lengths 9.2603, 9.2603, 22.7544 Å; angles 90.27, 90.27, 59.71 degrees
With the nearest neighbours (Å) after each atom.
Sites, in units of the cell vectors:
La 0.9999 0.0001 0.0000  6 O 2.26-2.45
La 0.0001 0.9999 0.5000  6 O 2.26-2.45
La 0.3335 0.3532 0.3327  6 O 2.25-2.46
La 0.3532 0.3335 0.8327  6 O 2.25-2.46
La 0.6734 0.6774 0.6663  6 O 2.28-2.41
La 0.6774 0.6734 0.1663  6 O 2.28-2.41
Sn 0.0238 0.9892 0.2200  6 O 2.02-2.20
Sn 0.3372 0.3424 0.5530  6 O 2.01-2.16
Sn 0.3424 0.3372 0.0530  6 O 2.01-2.16
Sn 0.6729 0.6770 0.8868  6 O 2.02-2.20
Sn 0.6770 0.6729 0.3868  6 O 2.02-2.20
Sn 0.9892 0.0238 0.7200  6 O 2.02-2.20
P 0.0332 0.5968 0.4535  4 O 1.52-1.59
P 0.0552 0.6955 0.1189  4 O 1.52-1.59
P 0.3785 0.7169 0.2868  4 O 1.52-1.59
P 0.5968 0.0332 0.9535  4 O 1.52-1.59
P 0.6955 0.0552 0.6189  4 O 1.52-1.59
P 0.7169 0.3785 0.7868  4 O 1.52-1.59
S 0.0346 0.3821 0.9522  4 O 1.46-1.52
S 0.0528 0.2688 0.6187  4 O 1.45-1.52
S 0.2659 0.7033 0.6209  4 O 1.46-1.51
S 0.2688 0.0528 0.1187  4 O 1.45-1.52
S 0.3572 0.9401 0.7850  4 O 1.46-1.51
S 0.3821 0.0346 0.4522  4 O 1.46-1.52
S 0.3865 0.6037 0.9530  4 O 1.46-1.51
S 0.6037 0.3865 0.4530  4 O 1.46-1.51
S 0.7033 0.2659 0.1209  4 O 1.46-1.51
S 0.7208 0.9390 0.2869  4 O 1.46-1.52
S 0.9390 0.7208 0.7869  4 O 1.46-1.52
S 0.9401 0.3572 0.2850  4 O 1.46-1.51
O 0.0011 0.7735 0.4624  1 P 1.52
O 0.0059 0.2422 0.9614  1 S 1.46
O 0.0208 0.8095 0.0665  1 P 1.52
O 0.0266 0.1927 0.5671  1 S 1.45
O 0.0759 0.1666 0.6735  1 S 1.52
O 0.0871 0.7752 0.1759  1 P 1.59
O 0.1084 0.5812 0.7970  1 S 1.46
O 0.1142 0.3157 0.2932  1 S 1.47
O 0.1150 0.4074 0.0067  1 S 1.52
O 0.1156 0.4862 0.5104  1 P 1.59
O 0.1363 0.3558 0.9002  1 S 1.46
O 0.1425 0.5173 0.3998  1 P 1.52
O 0.1611 0.7877 0.6747  1 S 1.51
O 0.1666 0.0759 0.1735  1 S 1.52
O 0.1927 0.0266 0.0671  1 S 1.45
O 0.1977 0.8064 0.5686  1 S 1.46
O 0.1998 0.9328 0.7776  1 S 1.50
O 0.2070 0.8836 0.2808  1 P 1.57
O 0.2129 0.2721 0.6147  1 S 1.50
O 0.2233 0.5265 0.1106  1 P 1.57
O 0.2422 0.0059 0.4614  1 S 1.46
O 0.2538 0.7776 0.9621  1 S 1.47
O 0.2638 0.5430 0.6147  1 S 1.50
O 0.2721 0.2129 0.1147  1 S 1.50
O 0.3157 0.1142 0.7932  1 S 1.47
O 0.3479 0.5349 0.9015  1 S 1.46
O 0.3482 0.5713 0.2959  1 P 1.52
O 0.3558 0.1363 0.4002  1 S 1.46
O 0.4074 0.1150 0.5067  1 S 1.52
O 0.4084 0.5000 0.0071  1 S 1.51
O 0.4384 0.8380 0.8397  1 S 1.51
O 0.4386 0.6660 0.6299  1 S 1.47
O 0.4405 0.9123 0.1265  1 S 1.47
O 0.4597 0.7448 0.3440  1 P 1.59
O 0.4654 0.8695 0.7337  1 S 1.46
O 0.4862 0.1156 0.0104  1 P 1.59
O 0.4875 0.6899 0.2334  1 P 1.52
O 0.5000 0.4084 0.5071  1 S 1.51
O 0.5173 0.1425 0.8998  1 P 1.52
O 0.5265 0.2233 0.6106  1 P 1.57
O 0.5349 0.3479 0.4015  1 S 1.46
O 0.5430 0.2638 0.1147  1 S 1.50
O 0.5434 0.8707 0.4475  1 S 1.50
O 0.5502 0.5976 0.9466  1 S 1.50
O 0.5713 0.3482 0.7959  1 P 1.52
O 0.5812 0.1084 0.2970  1 S 1.46
O 0.5976 0.5502 0.4466  1 S 1.50
O 0.6000 0.8629 0.9464  1 P 1.57
O 0.6615 0.9124 0.6295  1 P 1.53
O 0.6660 0.4386 0.1299  1 S 1.47
O 0.6899 0.4875 0.7334  1 P 1.52
O 0.6909 0.8671 0.2342  1 S 1.46
O 0.7448 0.4597 0.8440  1 P 1.59
O 0.7486 0.8307 0.3404  1 S 1.52
O 0.7735 0.0011 0.9624  1 P 1.52
O 0.7752 0.0871 0.6759  1 P 1.59
O 0.7776 0.2538 0.4621  1 S 1.47
O 0.7877 0.1611 0.1747  1 S 1.51
O 0.8064 0.1977 0.0686  1 S 1.46
O 0.8095 0.0208 0.5665  1 P 1.52
O 0.8307 0.7486 0.8404  1 S 1.52
O 0.8380 0.4384 0.3397  1 S 1.51
O 0.8629 0.6000 0.4464  1 P 1.57
O 0.8671 0.6909 0.7342  1 S 1.46
O 0.8695 0.4654 0.2337  1 S 1.46
O 0.8707 0.5434 0.9475  1 S 1.50
O 0.8802 0.9425 0.2812  1 S 1.50
O 0.8836 0.2070 0.7808  1 P 1.57
O 0.9123 0.4405 0.6265  1 S 1.47
O 0.9124 0.6615 0.1295  1 P 1.53
O 0.9328 0.1998 0.2776  1 S 1.50
O 0.9425 0.8802 0.7812  1 S 1.50

V = 1684.8 Å³ per cell
calculated formation energy = -3975 kJ/mol of formula units
total moment = 0.000 μB per formula unit

---

# 4
# Ga2P2H9NO11

An optimized crystal structure of Ga2P2H9NO11 (PBE, the Materials Project database).

Cell lengths 9.9455, 9.8788, 12.8858 Å; angles 90.00, 129.72, 90.00 degrees
With the nearest neighbours (Å) after each atom.
Sites, in units of the cell vectors:
Ga 0.0148 0.0266 0.1311  5 O 1.92-2.12
Ga 0.0148 0.4734 0.6311  5 O 1.92-2.12
Ga 0.2899 0.7372 0.1718  5 O 1.92-2.06
Ga 0.2899 0.7628 0.6718  5 O 1.92-2.06
Ga 0.7101 0.2372 0.3282  5 O 1.92-2.06
Ga 0.7101 0.2628 0.8282  5 O 1.92-2.06
Ga 0.9852 0.5266 0.3689  5 O 1.92-2.12
Ga 0.9852 0.9734 0.8689  5 O 1.92-2.12
P 0.1625 0.6947 0.8693  4 O 1.52-1.65
P 0.1625 0.8053 0.3693  4 O 1.52-1.65
P 0.3462 0.0403 0.1552  4 O 1.52-1.56
P 0.3462 0.4597 0.6552  4 O 1.52-1.56
P 0.6538 0.5403 0.3448  4 O 1.52-1.56
P 0.6538 0.9597 0.8448  4 O 1.52-1.56
P 0.8375 0.1947 0.6307  4 O 1.52-1.65
P 0.8375 0.3053 0.1307  4 O 1.52-1.65
H 0.0315 0.2100 0.9739  1 O 0.99
H 0.0315 0.2900 0.4739  1 O 0.99
H 0.1128 0.5557 0.1915  1 O 0.98
H 0.1128 0.9443 0.6915  1 O 0.98
H 0.1693 0.0041 0.6055  1 O 1.04
H 0.1693 0.4959 0.1055  1 O 1.04
H 0.2394 0.1754 0.6663  1 O 1.00
H 0.2394 0.3246 0.1663  1 O 1.00
H 0.3095 0.2414 0.3446  1 N 1.02
H 0.3095 0.2586 0.8446  1 N 1.02
H 0.3113 0.1110 0.9135  1 N 1.02
H 0.3113 0.3890 0.4135  1 N 1.02
H 0.3412 0.1273 0.6215  1 O 0.99
H 0.3412 0.3727 0.1215  1 O 0.99
H 0.4225 0.7405 0.4367  1 O 0.99
H 0.4225 0.7595 0.9367  1 O 0.99
H 0.4486 0.1338 0.8777  1 N 1.01
H 0.4486 0.3662 0.3777  1 N 1.01
H 0.5514 0.6338 0.6223  1 N 1.01
H 0.5514 0.8662 0.1223  1 N 1.01
H 0.5775 0.2405 0.0633  1 O 0.99
H 0.5775 0.2595 0.5633  1 O 0.99
H 0.6588 0.6273 0.8785  1 O 0.99
H 0.6588 0.8727 0.3785  1 O 0.99
H 0.6887 0.6110 0.5865  1 N 1.02
H 0.6887 0.8890 0.0865  1 N 1.02
H 0.6905 0.7414 0.1554  1 N 1.02
H 0.6905 0.7586 0.6554  1 N 1.02
H 0.7606 0.6754 0.8337  1 O 1.00
H 0.7606 0.8246 0.3337  1 O 1.00
H 0.8307 0.5041 0.8945  1 O 1.04
H 0.8307 0.9959 0.3945  1 O 1.04
H 0.8872 0.0557 0.3085  1 O 0.98
H 0.8872 0.4443 0.8085  1 O 0.98
H 0.9685 0.7100 0.5261  1 O 0.99
H 0.9685 0.7900 0.0261  1 O 0.99
N 0.3328 0.1573 0.8542  3 H 1.01-1.02
N 0.3328 0.3427 0.3542  3 H 1.01-1.02
N 0.6672 0.6573 0.6458  3 H 1.01-1.02
N 0.6672 0.8427 0.1458  3 H 1.01-1.02
O 0.0338 0.6874 0.3097  1 P 1.53
O 0.0338 0.8126 0.8097  1 P 1.53
O 0.0668 0.6465 0.5645  1 H 0.99
O 0.0668 0.8535 0.0645  1 H 0.99
O 0.0739 0.5648 0.7885  1 P 1.53
O 0.0739 0.9352 0.2885  1 P 1.53
O 0.1403 0.5828 0.1337  2 H 0.98-1.04
O 0.1403 0.9172 0.6337  2 H 0.98-1.04
O 0.2193 0.1392 0.5852  2 H 0.99-1.00
O 0.2193 0.3608 0.0852  2 H 0.99-1.00
O 0.2269 0.0251 0.9987  1 P 1.56
O 0.2269 0.4749 0.4987  1 P 1.56
O 0.2388 0.0925 0.1971  1 P 1.56
O 0.2388 0.4075 0.6971  1 P 1.56
O 0.2720 0.6747 0.0207  1 P 1.52
O 0.2720 0.8253 0.5207  1 P 1.52
O 0.3092 0.7295 0.8517  1 H 0.99
O 0.3092 0.7705 0.3517  1 H 0.99
O 0.4255 0.6013 0.7217  1 P 1.56
O 0.4255 0.8987 0.2217  1 P 1.56
O 0.4927 0.1377 0.1988  1 P 1.52
O 0.4927 0.3623 0.6988  1 P 1.52
O 0.5073 0.6377 0.3012  1 P 1.52
O 0.5073 0.8623 0.8012  1 P 1.52
O 0.5745 0.1013 0.7783  1 P 1.56
O 0.5745 0.3987 0.2783  1 P 1.56
O 0.6908 0.2295 0.6483  1 H 0.99
O 0.6908 0.2705 0.1483  1 H 0.99
O 0.7280 0.1747 0.4793  1 P 1.52
O 0.7280 0.3253 0.9793  1 P 1.52
O 0.7612 0.5925 0.3029  1 P 1.56
O 0.7612 0.9075 0.8029  1 P 1.56
O 0.7731 0.5251 0.5013  1 P 1.56
O 0.7731 0.9749 0.0013  1 P 1.56
O 0.7807 0.6392 0.9148  2 H 0.99-1.00
O 0.7807 0.8608 0.4148  2 H 0.99-1.00
O 0.8597 0.0828 0.3663  2 H 0.98-1.04
O 0.8597 0.4172 0.8663  2 H 0.98-1.04
O 0.9261 0.0648 0.7115  1 P 1.53
O 0.9261 0.4352 0.2115  1 P 1.53
O 0.9332 0.1465 0.9355  1 H 0.99
O 0.9332 0.3535 0.4355  1 H 0.99
O 0.9662 0.1874 0.1903  1 P 1.53
O 0.9662 0.3126 0.6903  1 P 1.53

V = 973.8 Å³ per cell
calculated formation energy = -4116 kJ/mol of formula units
total moment = 0.001 μB per formula unit